Below is a geometry-optimized SrV3O7 structure, with properties calculated at the meta-GGA r2SCAN level.

It has space group Pmmn (No. 59, origin choice 2), with a = 5.2638 Å, b = 10.5221 Å, c = 5.3611 Å, α = 90.00°, β = 90.00° and γ = 90.00°. The inequivalent atoms are Sr at (0.2500, 0.2500, 0.1429), V at (0.2500, 0.0160, 0.6220), V at (0.2500, 0.7500, 0.4066), O at (0.0132, 0.6209, 0.5361), O at (0.2500, 0.0467, 0.9200) and O at (0.2500, 0.7500, 0.1001).

***

Below is a geometry-optimized DyPt2 structure, with properties calculated at the meta-GGA r2SCAN level.

It has space group Fd-3m (No. 227, origin choice 2), with a = 7.6342 Å, b = 7.6342 Å, c = 7.6342 Å, α = 90.00°, β = 90.00° and γ = 90.00°. The inequivalent atoms are Dy at (0.1250, 0.1250, 0.1250) and Pt at (0.0000, 0.0000, 0.5000).

***

Below is a geometry-optimized Li7Co5O12 structure, with properties calculated at the meta-GGA r2SCAN level.

The calculation puts the energy above the most stable polymorph in this dataset at 4 meV/atom.

It has space group P2/m (No. 10), with a = 4.8510 Å, b = 8.3987 Å, c = 4.9156 Å, α = 90.00°, β = 109.13° and γ = 90.00°. The inequivalent atoms are Li at (0.0000, 0.0000, 0.0000), Li at (0.0000, 0.1579, 0.5000), Li at (0.0000, 0.5000, 0.5000), Li at (0.5000, 0.0000, 0.5000), Li at (0.5000, 0.3317, 0.5000), Co at (0.0000, 0.3285, 0.0000), Co at (0.5000, 0.1636, 0.0000), Co at (0.5000, 0.5000, 0.0000), O at (0.2371, 0.5000, 0.2148), O at (0.2524, 0.1791, 0.2236), O at (0.2590, 0.3330, 0.7803) and O at (0.2798, 0.0000, 0.7717).

***

Below is a geometry-optimized CoF3 structure, with properties calculated at the meta-GGA r2SCAN level.

It has space group P2_1 (No. 4), with a = 6.5102 Å, b = 5.2095 Å, c = 6.5132 Å, α = 90.00°, β = 108.63° and γ = 90.00°. The inequivalent atoms are Co at (0.1217, 0.0000, 0.3782), Co at (0.3721, 0.5006, 0.1277), F at (0.0363, 0.6731, 0.4618), F at (0.1167, 0.4978, 0.8673), F at (0.2186, 0.3104, 0.2793), F at (0.2868, 0.8053, 0.2119), F at (0.3694, 0.9956, 0.6147) and F at (0.4686, 0.2083, 0.0303).

***

Below is a geometry-optimized EuAl3Pb2O8 structure, with properties calculated at the meta-GGA r2SCAN level.

It has space group Pn-3m (No. 224, origin choice 2), with a = 9.4949 Å, b = 9.4949 Å, c = 9.4949 Å, α = 90.00°, β = 90.00° and γ = 90.00°. The inequivalent atoms are Eu at (0.0000, 0.0000, 0.0000), Al at (0.0000, 0.2500, 0.7500), Pb at (0.1153, 0.1153, 0.3847), O at (0.0927, 0.0927, 0.7620) and O at (0.1399, 0.1399, 0.1399).

***

Below is a geometry-optimized LiCu2F6 structure, with properties calculated at the meta-GGA r2SCAN level.

It has space group P4_2/mnm (No. 136), with a = 4.5968 Å, b = 4.5968 Å, c = 8.8728 Å, α = 90.00°, β = 90.00° and γ = 90.00°. The inequivalent atoms are Li at (0.0000, 0.0000, 0.0000), Cu at (0.0000, 0.0000, 0.3319), F at (0.1915, 0.1915, 0.5000) and F at (0.1976, 0.1976, 0.1718).

***

Below is a geometry-optimized CeP2Ir2 structure, with properties calculated at the meta-GGA r2SCAN level.

It has space group P4/nmm (No. 129, origin choice 2), with a = 4.1660 Å, b = 4.1660 Å, c = 9.5500 Å, α = 90.00°, β = 90.00° and γ = 90.00°. The inequivalent atoms are Ce at (0.2500, 0.2500, 0.2423), P at (0.2500, 0.2500, 0.6399), P at (0.2500, 0.7500, 0.0000), Ir at (0.2500, 0.2500, 0.8869) and Ir at (0.2500, 0.7500, 0.5000).

***

Below is a geometry-optimized Pr3RuO7 structure, with properties calculated at the meta-GGA r2SCAN level.

It has space group Cmcm (No. 63), with a = 11.0739 Å, b = 7.4038 Å, c = 7.5785 Å, α = 90.00°, β = 90.00° and γ = 90.00°. The inequivalent atoms are Pr at (0.0000, 0.0000, 0.0000), Pr at (0.2196, 0.3143, 0.2500), Ru at (0.0000, 0.5000, 0.0000), O at (0.0000, 0.4185, 0.2500), O at (0.1243, 0.3170, 0.5417) and O at (0.1309, 0.0303, 0.2500).

***

Number 1: calculated volume 296.93 Å³/cell, total moment 0.00 μB per formula unit, energy of formation from the pure elements -2802 meV/atom. Number 2: calculated volume 444.92 Å³/cell, total moment 0.00 μB per formula unit, energy of formation from the pure elements -1216 meV/atom. Number 3: calculated volume 189.21 Å³/cell, total moment 1.99 μB per formula unit, energy of formation from the pure elements -1771 meV/atom. Number 4: calculated volume 209.32 Å³/cell, total moment 4.00 μB per formula unit, energy of formation from the pure elements -2054 meV/atom. Number 5: calculated volume 856.00 Å³/cell, total moment 6.00 μB per formula unit, energy of formation from the pure elements -2715 meV/atom. Number 6: calculated volume 187.49 Å³/cell, total moment 3.00 μB per formula unit, energy of formation from the pure elements -2088 meV/atom. Number 7: calculated volume 165.74 Å³/cell, total moment 0.52 μB per formula unit, energy of formation from the pure elements -1142 meV/atom. Number 8: calculated volume 621.36 Å³/cell, total moment 3.00 μB per formula unit, energy of formation from the pure elements -2918 meV/atom.